No. 1
MnFe2O4 after structural relaxation. Source: Materials Project, functional PBE+U.

Total energy = -7.032 eV per atom
Space group = P1, No. 1
Calculated density = 4.7 g cm⁻³
Energy of formation from the pure elements = -1.75 eV per atom
Offset from the most stable computed form = 0.0848 eV/atom
V = 11.53 Å³ per atom

```
70
Lattice="-5.0637 -2.0942 2.7931 -1.5059 -5.8982 -0.4026 2.4264 -17.8759 24.4639" Properties=species:S:1:pos:R:3 pbc="T T T"
O -3.7091 -5.8229 5.5588
O -3.2523 -17.6553 17.8253
O -1.6139 -3.0966 1.8902
O -3.5527 -15.6621 15.1339
O 0.5248 -18.9801 23.6798
O -1.2946 -12.8238 11.5360
O -1.2480 -14.7474 13.8822
O -0.9293 -8.2229 9.0411
O -1.9117 -18.2965 22.7574
O -3.2063 -9.3577 10.5100
O -0.3026 -21.8734 23.7041
O -2.9031 -11.1104 12.9352
O -0.4874 -11.7958 13.9967
O -2.2638 -16.5478 20.2355
O -1.8329 -20.1983 25.0885
O -3.3862 -7.5278 8.0729
O -0.1325 -13.8010 16.5917
O -4.1546 -10.5050 8.0562
O -1.9084 -9.2894 6.6227
O -0.3433 -19.9987 21.3579
O -1.3813 -4.6467 4.0811
O -3.7239 -14.0499 12.7803
O -4.5347 -8.4884 5.3732
O 0.0803 -15.3732 18.7936
O -2.2017 -7.6073 4.1056
O -2.4185 -14.6809 17.8452
O -3.9680 -12.1994 10.3199
O -2.7597 -21.1632 22.7352
O -0.7399 -18.3376 18.8065
O -0.6168 -10.2203 11.7137
O -3.0436 -19.2346 20.0650
O -4.7120 -6.9128 3.1864
O -0.9218 -16.4484 16.4075
O -2.5192 -22.8092 24.9416
O 0.3426 -17.3403 21.5068
O -2.8437 -13.0273 15.3228
O -1.1558 -6.5919 6.8154
O -3.8668 -3.9486 3.1154
O -2.4002 -5.6974 1.7041
O -1.6141 -11.2005 9.0028
Fe -2.5554 -9.3384 8.5017
Fe -0.8207 -13.5681 18.5214
Fe -3.0476 -5.7722 3.6289
Fe -3.8336 -20.8677 21.0529
Fe -4.3498 -17.2667 16.1721
Fe -2.2932 -11.1443 11.0043
Fe -5.3373 -10.1294 6.3806
Fe -1.5763 -16.5114 18.3127
Fe -0.8653 -21.8829 25.6440
Fe -1.8308 -14.7443 15.8826
Fe -4.8128 -13.6916 11.2437
Fe -1.7992 -6.4207 8.7061
Fe -2.0586 -12.9191 13.4431
Fe -1.3136 -9.9992 13.6378
Fe -3.6286 -21.1316 24.6046
Fe -2.3047 -2.8364 3.8327
Fe -1.8503 -23.0379 23.0215
Fe -1.1028 -20.0854 23.2178
Fe -1.3405 -18.2821 20.7709
Fe -2.8085 -7.5554 6.0772
Mn 1.1919 -15.7581 20.4792
Mn 0.1979 -8.5956 10.7165
Mn -4.1130 -17.5700 19.7154
Mn 0.7237 -12.1970 15.6296
Mn -3.4041 -24.4056 25.9256
Mn -0.0411 -8.3201 7.1368
Mn 0.4618 -11.8840 12.0473
Mn -0.5238 -4.7338 2.2398
Mn -0.2990 -5.0300 5.7957
Mn -0.7692 -1.4642 0.9060
```

***

No. 2
MnFe2O4 after structural relaxation. Source: Materials Project, functional PBE+U.

Total energy = -6.978 eV per atom
Space group = Cmcm, No. 63
Calculated density = 5.2 g cm⁻³
Energy of formation from the pure elements = -1.70 eV per atom
Offset from the most stable computed form = 0.1388 eV/atom
V = 10.55 Å³ per atom

```
14
Lattice="2.9836 0.0000 0.0000 -1.4918 4.9282 0.0000 0.0000 0.0000 10.0440" Properties=species:S:1:pos:R:3 pbc="T T T"
O -0.7459 2.4641 0.0000
O 0.7459 2.9219 7.5330
O 0.7459 4.7359 1.1173
O 0.7459 0.1923 6.1393
O 0.7459 4.7359 3.9047
O 0.7459 0.1923 8.9267
O 0.7459 2.0063 2.5110
O -0.7459 2.4641 5.0220
Mn -0.7459 3.5607 2.5110
Mn 2.2377 1.3674 7.5330
Fe 0.7459 3.7770 5.7495
Fe 0.7459 1.1512 4.2945
Fe 0.7459 1.1512 0.7275
Fe 0.7459 3.7770 9.3165
```

***

No. 3
Mn3FeO8 after structural relaxation. Source: Materials Project, functional PBE+U.

Total energy = -6.848 eV per atom
Space group = R-3m, No. 166
Calculated density = 4.1 g cm⁻³
Energy of formation from the pure elements = -1.62 eV per atom
Offset from the most stable computed form = 0.0263 eV/atom
V = 11.91 Å³ per atom

```
12
Lattice="5.1499 -2.9109 0.0000 5.1499 2.9109 0.0000 3.5045 0.0000 4.7658" Properties=species:S:1:pos:R:3 pbc="T T T"
O 7.9125 1.2970 3.5239
O 7.9125 -1.2970 3.5239
O 10.1320 0.0000 3.4980
O 5.1587 0.0000 3.3653
O 5.8918 -1.2970 1.2419
O 8.6456 0.0000 1.4005
O 5.8918 1.2970 1.2419
O 3.6722 0.0000 1.2678
Mn 4.3272 -1.4555 2.3829
Mn 5.1499 0.0000 0.0000
Mn 4.3272 1.4555 2.3829
Fe 6.9021 0.0000 2.3829
```

***

No. 4
Mn2FeO6 after structural relaxation. Source: Materials Project, functional PBE+U.

Total energy = -6.760 eV per atom
Space group = P-1, No. 2
Calculated density = 4.0 g cm⁻³
Energy of formation from the pure elements = -1.56 eV per atom
Offset from the most stable computed form = 0.0083 eV/atom
V = 11.99 Å³ per atom

```
36
Lattice="5.8637 0.0000 0.0000 2.8994 5.1498 0.0000 0.1372 0.1270 14.2966" Properties=species:S:1:pos:R:3 pbc="T T T"
O 3.0933 1.8358 13.3109
O 2.9860 3.7337 8.4149
O 5.9316 2.0729 13.1439
O 7.2091 4.3666 13.1266
O 5.9143 1.5431 5.8817
O 1.6648 2.4553 3.6213
O 7.5323 4.4774 5.9046
O 5.9251 5.0272 10.6317
O 7.2355 2.8216 10.6752
O 1.3680 0.7995 8.3919
O 4.2546 4.4848 5.9006
O 1.6912 0.9102 1.1700
O 2.9752 0.2497 3.6649
O 5.9073 0.0688 3.7945
O 4.2610 1.0041 1.1357
O 5.9273 3.5415 8.5597
O 4.6393 4.2728 13.1609
O 5.8070 3.4410 0.9856
O 4.6457 0.7921 8.3960
O 2.9929 5.2080 10.5021
O 4.2541 2.4646 3.6292
O 4.6462 2.8123 10.6674
O 2.9730 1.7353 5.7368
O 2.9686 3.2039 1.1527
Fe 2.9319 0.0000 0.0000
Fe 1.4497 2.5749 0.0000
Fe 5.9412 1.7993 9.5322
Fe 2.9591 3.4776 4.7644
Mn 4.4391 0.8993 4.7693
Mn 0.0686 0.0635 7.1483
Mn 4.4612 4.3775 9.5273
Mn 7.3883 4.3808 9.5301
Mn 5.9401 3.5461 11.9110
Mn 1.5120 0.8960 4.7665
Mn 2.9602 1.7307 2.3856
Mn 4.3815 2.5749 0.0000
```

***

No. 5
Mn19Fe17O48 after structural relaxation. Source: Materials Project, functional PBE+U.

Total energy = -7.218 eV per atom
Space group = C2/m, No. 12
Calculated density = 4.7 g cm⁻³
Energy of formation from the pure elements = -1.83 eV per atom
V = 11.70 Å³ per atom

```
84
Lattice="3.5839 -4.9908 0.2288 5.9480 0.5330 1.4638 -6.7445 -3.6166 29.0872" Properties=species:S:1:pos:R:3 pbc="T T T"
Mn 0.0000 0.0000 0.0000
Mn -4.4366 -3.9802 26.2956
Mn 4.3616 -2.4568 2.6395
Mn 1.8272 -3.8132 13.5583
Mn 7.2240 -4.0942 4.4843
Mn -1.3434 -3.8892 19.9673
Mn 6.4147 -4.5408 8.0312
Mn 2.0579 -2.0867 5.3943
Mn -0.2904 -4.9480 22.6876
Mn -1.0920 -2.1694 11.7937
Mn -3.6273 -3.5336 22.7487
Mn 4.1308 -4.1852 10.8125
Mn 0.9602 -4.2612 17.2216
Mn -2.3475 -2.8510 17.2459
Mn 0.7295 -5.9877 25.3856
Mn -1.5742 -5.6177 28.1404
Mn 5.1349 -5.2234 13.5340
Mn 3.0778 -3.1264 8.0922
Mn 3.8794 -5.9051 18.9862
O 4.8323 -3.6463 7.0591
O 1.3667 -6.0684 16.2907
O 0.0602 -6.5257 29.0732
O 1.8551 -5.3301 26.8935
O -1.4196 -2.0319 18.9385
O -0.6884 -3.3477 16.2917
O -1.2395 -5.3127 26.1355
O 2.6448 -3.0819 16.9584
O 0.4643 -4.5062 19.2669
O -0.3773 -6.7251 23.9237
O 7.5562 -3.7840 2.4608
O 1.5432 -5.5010 21.6513
O -0.6645 -0.5496 3.7304
O 1.2442 -2.5734 9.1285
O 4.0813 -2.2333 9.8475
O 0.8303 -7.7247 26.3581
O 2.8909 -5.0148 9.2256
O 2.7291 -6.6405 24.4777
O 2.7272 -1.5487 1.7066
O 4.3170 -5.6410 16.9673
O -1.9010 -3.7501 29.0170
O -0.1035 -3.0596 21.5542
O -2.5265 -4.6182 18.3603
O 5.3139 -3.4562 12.4196
O -3.2363 -6.8701 28.3194
O 4.2070 -6.0425 11.8414
O -4.7688 -4.2904 28.3191
O -1.2939 -5.8411 20.9324
O 0.0583 -1.4339 6.3021
O 4.0269 -2.7618 4.6443
O -3.9941 -2.3626 18.2133
O 4.6884 -4.3243 1.7629
O 2.0972 -3.8436 6.2985
O 6.7815 -5.7118 12.5665
O -1.5296 -2.4334 13.8126
O 2.3231 -3.5682 11.5130
O 0.6902 -4.2308 24.4814
O 3.1647 -1.3493 6.8561
O 1.9571 -0.3498 4.4217
O 0.9323 -2.7443 3.8864
O 0.1426 -4.9925 13.8215
O -2.0449 -4.4281 23.7208
O 3.4519 -7.5248 27.0495
O 5.9208 -4.7851 10.0692
O 3.4758 -4.7267 14.4882
O -3.1334 -3.2893 20.7107
O 6.0237 -1.2044 2.4604
O 1.4207 -2.0060 14.4892
Fe 0.4932 -6.4058 20.0665
Fe 5.0079 -1.8290 6.1408
Fe 1.1084 -4.4395 10.0939
Fe -2.2205 -6.2454 24.6391
Fe 3.8368 -4.5653 5.5290
Fe -0.3983 -1.5418 15.2755
Fe 1.0261 -1.0452 2.7107
Fe -3.3722 -1.8083 14.5436
Fe 2.2942 -1.6686 10.7134
Fe -1.0494 -3.5091 25.2508
Fe -0.2675 -1.7155 8.1853
Fe -1.5803 -4.3037 14.6580
Fe 1.7613 -7.0293 28.0692
Fe 2.9740 0.2665 0.7319
Fe 3.0549 -6.3589 22.5946
Fe 1.6790 -3.6349 20.6860
Fe 1.7920 -2.4954 0.1144
```

***

No. 6
Mn3FeO8 after structural relaxation. Source: Materials Project, functional PBE+U.

Total energy = -6.862 eV per atom
Space group = R-3m, No. 166
Calculated density = 4.1 g cm⁻³
Energy of formation from the pure elements = -1.63 eV per atom
Offset from the most stable computed form = 0.0129 eV/atom
V = 11.86 Å³ per atom

```
12
Lattice="-4.3327 -3.8661 -0.4878 0.9259 -4.9576 -2.9192 0.3198 -5.0183 2.9447" Properties=species:S:1:pos:R:3 pbc="T T T"
O -0.8198 -3.6760 -0.1228
O -0.5789 -5.7500 1.3294
O -2.2672 -10.1661 -0.3395
O -2.5081 -8.0920 -1.7917
O -0.2337 -8.6553 -0.1137
O -2.8533 -5.1867 -0.3486
O -0.2826 -5.7204 -1.5372
O -2.8044 -8.1217 1.0749
Mn -1.7034 -4.4119 -1.7035
Mn -2.0064 -4.4422 1.2285
Mn 0.6229 -4.9880 0.0127
Fe 0.0000 0.0000 0.0000
```

***

No. 7
MnFe2O4 after structural relaxation. Source: Materials Project, functional PBE+U.

Total energy = -6.936 eV per atom
Space group = P-1, No. 2
Calculated density = 4.9 g cm⁻³
Energy of formation from the pure elements = -1.66 eV per atom
Offset from the most stable computed form = 0.1806 eV/atom
V = 11.23 Å³ per atom

```
14
Lattice="5.2260 -0.0243 3.0554 1.7103 4.9495 3.0703 0.0123 0.0269 6.0895" Properties=species:S:1:pos:R:3 pbc="T T T"
Fe 3.4681 2.4626 3.0629
Fe 4.3295 4.9508 7.6427
Fe 6.0873 2.4640 7.6352
Fe 3.4743 2.4761 6.1075
O 4.3486 1.4189 7.7288
O 4.1606 1.3113 4.5649
O 1.8380 1.3838 5.9826
O 5.0935 3.6750 8.9846
O 2.6000 3.5332 4.4863
O 1.8551 1.2771 3.2306
O 2.7881 3.6408 7.6502
O 5.1106 3.5684 6.2325
Mn 6.0845 4.3188 10.6804
Mn 0.8641 0.6333 1.5347
```

***

No. 8
MnFeP2O8 after structural relaxation. Source: Materials Project, functional PBE+U.

Total energy = -7.258 eV per atom
Space group = Pm, No. 6
Calculated density = 3.4 g cm⁻³
Energy of formation from the pure elements = -2.37 eV per atom
Offset from the most stable computed form = 0.0054 eV/atom
V = 12.10 Å³ per atom

```
72
Lattice="-0.9946 -3.0170 5.0773 3.1066 -8.3204 -4.3357 13.7640 2.8398 4.3837" Properties=species:S:1:pos:R:3 pbc="T T T"
O 8.2937 -0.3948 2.7919
O 5.9090 -0.6757 4.2884
O 12.2666 -1.2426 7.3268
O 5.4171 -5.4656 -0.7839
O 3.1598 -8.7481 0.3906
O 7.5344 -3.9995 -0.9007
O 7.7602 -7.8230 1.8433
O 5.2596 -2.9218 -0.7059
O 5.9538 -7.2603 -3.1480
O 10.4877 0.2712 5.7480
O 10.9156 -1.5352 3.3233
O 14.4622 -1.0096 2.2330
O 1.8845 -5.9740 0.3517
O 1.3161 -1.6025 2.8380
O 3.6856 -1.3561 1.3343
O 12.1443 -3.0555 0.5633
O 1.6506 -0.7340 -0.1128
O 13.3913 -2.0580 4.9327
O 10.0171 -4.5280 0.6735
O 10.8137 1.1776 2.8180
O 14.5976 -3.5611 2.1629
O 9.8897 -1.9816 0.7598
O 5.9376 -3.7197 3.9235
O 5.5942 -8.1418 -0.2098
O 9.4173 -6.3477 3.7357
O 11.0451 -4.0909 3.2651
O 6.4997 -5.0436 1.8086
O 12.7198 -5.6596 1.2424
O 1.7509 -3.4229 0.4263
O 10.1932 -7.2110 1.2442
O 2.9489 -4.9354 -2.3551
O 6.2401 0.2151 1.3502
O 12.3204 -6.8712 3.2814
O 10.5489 -6.3108 -1.6837
O 8.8016 -3.0168 3.4639
O 3.5645 -7.5203 -1.6756
O 14.0027 -5.3657 5.1999
O 7.6939 -2.2145 5.8542
O 15.1148 -5.3417 -0.2134
O 10.5115 -2.7609 5.3861
O 6.3426 -2.4913 1.8562
O 8.1655 -6.5937 -0.2255
O 12.8663 0.5765 4.2655
O 3.0904 -3.1619 4.3732
O 1.3524 -4.6315 2.4603
O 4.8174 -7.2846 2.2772
O 14.7662 -6.2570 2.7069
O 4.2373 -3.9649 2.0064
Fe 2.6789 -2.8800 2.3458
Fe 10.2037 -0.3605 1.7845
Fe 9.1041 -5.0855 -1.2386
Fe 5.6150 -1.3151 0.3184
Fe 1.0263 -2.2437 -1.1323
Fe 4.5224 -6.0218 -2.6924
Mn 10.6167 -5.6558 2.2513
Mn 11.9284 -0.8991 5.3348
Mn 15.2004 -4.6923 3.7217
Mn 7.3407 -1.8601 3.8651
Mn 6.0193 -6.5883 0.7966
Mn 13.6270 -4.2040 0.1712
P 1.1183 -4.7748 0.9142
P 7.5756 0.6921 1.8952
P 15.2341 -2.2136 1.6688
P 2.9982 -0.2562 0.4351
P 6.0536 -4.1008 -1.2510
P 5.7216 -3.8332 2.3755
P 10.6584 -3.1695 0.2044
P 10.2922 -2.8744 3.8405
P 8.8148 -7.6660 0.7038
P 12.1501 1.6538 3.3628
P 13.4032 -6.7172 2.1664
P 4.2174 -8.5987 -0.7510
```